1.
Dy2MgMo2Cl2O8 after structural relaxation, computed with PBE+U.

Cell and atoms, written as POSCAR:
```
Dy2MgMo2Cl2O8
1.0
5.718 -3.420 0.000
5.718 3.420 0.000
-2.003 0.000 6.862
Dy Mg Mo Cl O
2 1 2 2 8
Direct
0.222 0.222 0.376
0.778 0.778 0.624
0.734 0.266 0.500
0.162 0.134 0.792
0.866 0.838 0.208
0.427 0.459 0.702
0.541 0.573 0.298
0.010 0.608 0.364
0.194 0.212 0.052
0.392 0.990 0.636
0.610 0.029 0.357
0.788 0.806 0.948
0.938 0.019 0.698
0.971 0.390 0.643
0.981 0.062 0.302
```

Summary:
SG ... C2, No. 5
Energy above the lowest structure with this stoichiometry ... 0.0 meV per atom
Crystal system ... monoclinic
Final energy ... -102.6 eV per formula unit



2.
Dy2MgMo2Cl2O8 after structural relaxation, computed with PBE+U.

Cell and atoms, written as POSCAR:
```
Dy2MgMo2Cl2O8
1.0
6.480 0.000 0.000
2.590 5.950 0.000
2.010 1.314 6.528
Dy Mg Mo Cl O
2 1 2 2 8
Direct
0.000 0.000 0.000
0.478 0.478 0.785
0.934 0.545 0.393
0.606 0.589 0.160
0.889 0.872 0.625
0.195 0.283 0.142
0.197 0.282 0.643
0.002 0.852 0.349
0.149 0.775 0.739
0.365 0.748 0.024
0.627 0.476 0.436
0.703 0.329 0.046
0.719 0.683 0.667
0.730 0.113 0.762
0.795 0.759 0.119
```

Summary:
SG ... P1, No. 1
Energy above the lowest structure with this stoichiometry ... 24.1 meV per atom
Crystal system ... triclinic
Final energy ... -102.2 eV per formula unit



3.
Dy2MgW2Cl2O8 after structural relaxation, computed with PBE+U.

Cell and atoms, written as POSCAR:
```
Dy2MgW2Cl2O8
1.0
5.498 -3.551 0.000
5.498 3.551 0.000
-2.520 0.000 6.505
Dy Mg W Cl O
2 1 2 2 8
Direct
0.240 0.240 0.108
0.760 0.760 0.892
0.307 0.693 0.500
0.349 0.368 0.735
0.632 0.651 0.265
0.043 0.947 0.752
0.053 0.957 0.248
0.083 0.455 0.836
0.238 0.395 0.456
0.448 0.474 0.220
0.509 0.124 0.871
0.526 0.552 0.780
0.545 0.917 0.164
0.605 0.762 0.544
0.876 0.491 0.129
```

Summary:
SG ... C2, No. 5
Crystal system ... monoclinic
Final energy ... -104.4 eV per formula unit



4.
DyMoClO4 after structural relaxation, computed with PBE+U.

Cell and atoms, written as POSCAR:
```
DyMoClO4
1.0
5.156 -3.665 0.000
5.156 3.665 0.000
-2.056 0.000 6.615
Dy Mo Cl O
2 2 2 8
Direct
0.222 0.222 0.113
0.778 0.778 0.887
0.362 0.362 0.731
0.638 0.638 0.269
0.010 0.010 0.767
0.990 0.990 0.233
0.110 0.491 0.847
0.293 0.293 0.465
0.457 0.457 0.202
0.491 0.110 0.847
0.509 0.890 0.153
0.543 0.543 0.798
0.707 0.707 0.535
0.890 0.509 0.153
```

Summary:
SG ... C2/m, No. 12
Crystal system ... monoclinic
Final energy ... -49.3 eV per formula unit



5.
DyWClO4 after structural relaxation, computed with PBE+U.

Cell and atoms, written as POSCAR:
```
DyWClO4
1.0
5.197 -3.685 0.000
5.197 3.685 0.000
-2.112 0.000 6.655
Dy W Cl O
2 2 2 8
Direct
0.223 0.223 0.119
0.777 0.777 0.881
0.363 0.363 0.734
0.637 0.637 0.266
0.012 0.012 0.772
0.988 0.988 0.228
0.109 0.492 0.846
0.296 0.296 0.465
0.454 0.454 0.195
0.492 0.109 0.846
0.508 0.891 0.154
0.546 0.546 0.805
0.704 0.704 0.535
0.891 0.508 0.154
```

Summary:
SG ... C2/m, No. 12
Crystal system ... monoclinic
Final energy ... -50.7 eV per formula unit



6.
Er2MgMo2Cl2O8 after structural relaxation, computed with PBE+U.

Cell and atoms, written as POSCAR:
```
Er2MgMo2Cl2O8
1.0
6.472 0.000 0.000
2.651 5.908 0.000
2.045 1.325 6.481
Er Mg Mo Cl O
2 1 2 2 8
Direct
0.000 0.000 0.000
0.482 0.482 0.790
0.542 0.940 0.394
0.593 0.606 0.163
0.875 0.889 0.627
0.277 0.203 0.647
0.277 0.205 0.143
0.119 0.733 0.765
0.329 0.708 0.051
0.482 0.627 0.440
0.684 0.720 0.673
0.749 0.363 0.025
0.761 0.799 0.117
0.774 0.153 0.738
0.855 0.999 0.350
```

Summary:
SG ... P1, No. 1
Crystal system ... triclinic
Final energy ... -102.1 eV per formula unit



7.
ErMoClO4 after structural relaxation, computed with PBE+U.

Cell and atoms, written as POSCAR:
```
ErMoClO4
1.0
5.124 -3.637 0.000
5.124 3.637 0.000
-2.066 0.000 6.577
Er Mo Cl O
2 2 2 8
Direct
0.222 0.222 0.112
0.778 0.778 0.888
0.362 0.362 0.731
0.638 0.638 0.269
0.010 0.010 0.768
0.990 0.990 0.232
0.107 0.492 0.846
0.293 0.293 0.463
0.456 0.456 0.201
0.492 0.107 0.846
0.508 0.893 0.154
0.544 0.544 0.799
0.707 0.707 0.537
0.893 0.508 0.154
```

Summary:
SG ... C2/m, No. 12
Crystal system ... monoclinic
Final energy ... -49.3 eV per formula unit



8.
ErWClO4 after structural relaxation, computed with PBE+U.

Cell and atoms, written as POSCAR:
```
ErWClO4
1.0
5.164 -3.660 0.000
5.164 3.660 0.000
-2.142 0.000 6.627
Er W Cl O
2 2 2 8
Direct
0.222 0.222 0.119
0.778 0.778 0.881
0.363 0.363 0.734
0.637 0.637 0.266
0.011 0.011 0.773
0.989 0.989 0.227
0.105 0.493 0.845
0.296 0.296 0.464
0.453 0.453 0.193
0.493 0.105 0.845
0.507 0.895 0.155
0.547 0.547 0.807
0.704 0.704 0.536
0.895 0.507 0.155
```

Summary:
SG ... C2/m, No. 12
Crystal system ... monoclinic
Final energy ... -50.6 eV per formula unit



Formation energy (eV per atom)
-2.58; -2.56; -2.58; -2.60; -2.67; -2.55; -2.60; -2.67